This record from Materials Project describes crystalline SbPCCl3O3 at its relaxed geometry. The functional is PBE.

Cell lengths 18.748, 10.514, 18.409 Å; angles 90.00, 100.56, 90.00 degrees
Fractional coordinates of all 144 atoms:
Sb (0.114, 0.111, 0.203)
Sb (0.114, 0.389, 0.703)
Sb (0.174, 0.675, 0.069)
Sb (0.174, 0.825, 0.569)
Sb (0.316, 0.092, 0.023)
Sb (0.316, 0.408, 0.523)
Sb (0.375, 0.631, 0.781)
Sb (0.375, 0.869, 0.281)
Sb (0.625, 0.131, 0.719)
Sb (0.625, 0.369, 0.219)
Sb (0.684, 0.592, 0.477)
Sb (0.684, 0.908, 0.977)
Sb (0.826, 0.175, 0.431)
Sb (0.826, 0.325, 0.931)
Sb (0.886, 0.611, 0.297)
Sb (0.886, 0.889, 0.797)
P (0.145, 0.518, 0.538)
P (0.145, 0.982, 0.038)
P (0.198, 0.681, 0.743)
P (0.198, 0.819, 0.243)
P (0.298, 0.144, 0.196)
P (0.298, 0.356, 0.696)
P (0.348, 0.707, 0.596)
P (0.348, 0.793, 0.096)
P (0.652, 0.207, 0.904)
P (0.652, 0.293, 0.404)
P (0.702, 0.644, 0.304)
P (0.702, 0.856, 0.804)
P (0.802, 0.181, 0.757)
P (0.802, 0.319, 0.257)
P (0.855, 0.018, 0.962)
P (0.855, 0.482, 0.462)
C (0.090, 0.073, 0.964)
C (0.090, 0.427, 0.464)
C (0.137, 0.718, 0.284)
C (0.137, 0.782, 0.784)
C (0.338, 0.239, 0.764)
C (0.338, 0.261, 0.264)
C (0.417, 0.690, 0.070)
C (0.417, 0.810, 0.570)
C (0.583, 0.190, 0.430)
C (0.583, 0.310, 0.930)
C (0.662, 0.739, 0.736)
C (0.662, 0.761, 0.236)
C (0.863, 0.218, 0.216)
C (0.863, 0.282, 0.716)
C (0.910, 0.573, 0.536)
C (0.910, 0.927, 0.036)
Cl (0.008, 0.005, 0.220)
Cl (0.008, 0.495, 0.720)
Cl (0.057, 0.633, 0.090)
Cl (0.057, 0.867, 0.590)
Cl (0.058, 0.217, 0.634)
Cl (0.058, 0.283, 0.134)
Cl (0.135, 0.218, 0.316)
Cl (0.135, 0.282, 0.816)
Cl (0.162, 0.574, 0.955)
Cl (0.162, 0.926, 0.455)
Cl (0.231, 0.508, 0.143)
Cl (0.231, 0.992, 0.643)
Cl (0.255, 0.221, 0.479)
Cl (0.255, 0.279, 0.979)
Cl (0.283, 0.523, 0.413)
Cl (0.283, 0.977, 0.913)
Cl (0.374, 0.515, 0.890)
Cl (0.374, 0.985, 0.390)
Cl (0.429, 0.685, 0.337)
Cl (0.429, 0.815, 0.837)
Cl (0.431, 0.157, 0.007)
Cl (0.431, 0.343, 0.507)
Cl (0.481, 0.536, 0.754)
Cl (0.481, 0.964, 0.254)
Cl (0.519, 0.036, 0.746)
Cl (0.519, 0.464, 0.246)
Cl (0.569, 0.657, 0.493)
Cl (0.569, 0.843, 0.993)
Cl (0.571, 0.185, 0.163)
Cl (0.571, 0.315, 0.663)
Cl (0.626, 0.015, 0.610)
Cl (0.626, 0.485, 0.110)
Cl (0.717, 0.023, 0.087)
Cl (0.717, 0.477, 0.587)
Cl (0.745, 0.721, 0.021)
Cl (0.745, 0.779, 0.521)
Cl (0.769, 0.008, 0.357)
Cl (0.769, 0.492, 0.857)
Cl (0.838, 0.074, 0.545)
Cl (0.838, 0.426, 0.045)
Cl (0.865, 0.718, 0.184)
Cl (0.865, 0.782, 0.684)
Cl (0.942, 0.717, 0.866)
Cl (0.942, 0.783, 0.366)
Cl (0.943, 0.133, 0.410)
Cl (0.943, 0.367, 0.910)
Cl (0.992, 0.505, 0.280)
Cl (0.992, 0.995, 0.780)
O (0.103, 0.016, 0.102)
O (0.103, 0.484, 0.602)
O (0.136, 0.659, 0.516)
O (0.136, 0.841, 0.016)
O (0.169, 0.547, 0.757)
O (0.169, 0.953, 0.257)
O (0.194, 0.702, 0.659)
O (0.194, 0.798, 0.159)
O (0.217, 0.180, 0.189)
O (0.217, 0.320, 0.689)
O (0.224, 0.023, 0.060)
O (0.224, 0.477, 0.560)
O (0.275, 0.707, 0.788)
O (0.275, 0.743, 0.053)
O (0.275, 0.757, 0.553)
O (0.275, 0.793, 0.288)
O (0.309, 0.003, 0.219)
O (0.309, 0.497, 0.719)
O (0.332, 0.175, 0.127)
O (0.332, 0.325, 0.627)
O (0.362, 0.730, 0.680)
O (0.362, 0.770, 0.180)
O (0.363, 0.567, 0.577)
O (0.363, 0.933, 0.077)
O (0.637, 0.067, 0.923)
O (0.637, 0.433, 0.423)
O (0.638, 0.230, 0.820)
O (0.638, 0.270, 0.320)
O (0.668, 0.675, 0.373)
O (0.668, 0.825, 0.873)
O (0.691, 0.503, 0.281)
O (0.691, 0.997, 0.781)
O (0.725, 0.207, 0.712)
O (0.725, 0.243, 0.447)
O (0.725, 0.257, 0.947)
O (0.725, 0.293, 0.212)
O (0.776, 0.523, 0.440)
O (0.776, 0.977, 0.940)
O (0.783, 0.680, 0.311)
O (0.783, 0.820, 0.811)
O (0.806, 0.202, 0.841)
O (0.806, 0.298, 0.341)
O (0.831, 0.047, 0.743)
O (0.831, 0.453, 0.243)
O (0.864, 0.159, 0.984)
O (0.864, 0.341, 0.484)
O (0.897, 0.516, 0.398)
O (0.897, 0.984, 0.898)

Output
E_tot (eV/atom): -4.809
Energy of formation from the pure elements (meV/atom): -687

---

This record from Materials Project describes crystalline B84O11 at its relaxed geometry. The functional is PBE.

Cell lengths 7.396, 8.800, 11.807 Å; angles 95.81, 91.22, 112.22 degrees
Fractional coordinates of all 95 atoms:
B (0.000, 0.000, 0.000)
B (0.000, 0.745, 0.337)
B (0.005, 0.541, 0.339)
B (0.008, 0.212, 0.005)
B (0.052, 0.967, 0.146)
B (0.060, 0.310, 0.150)
B (0.060, 0.379, 0.545)
B (0.077, 0.885, 0.543)
B (0.089, 0.158, 0.234)
B (0.099, 0.660, 0.227)
B (0.109, 0.072, 0.626)
B (0.114, 0.738, 0.628)
B (0.150, 0.034, 0.767)
B (0.154, 0.497, 0.429)
B (0.158, 0.294, 0.434)
B (0.159, 0.833, 0.771)
B (0.201, 0.258, 0.576)
B (0.201, 0.593, 0.574)
B (0.204, 0.664, 0.976)
B (0.213, 0.167, 0.969)
B (0.232, 0.445, 0.660)
B (0.243, 0.015, 0.052)
B (0.250, 0.357, 0.056)
B (0.265, 0.959, 0.655)
B (0.294, 0.112, 0.198)
B (0.300, 0.784, 0.864)
B (0.302, 0.324, 0.202)
B (0.303, 0.580, 0.865)
B (0.342, 0.950, 0.409)
B (0.346, 0.879, 0.006)
B (0.349, 0.544, 0.005)
B (0.367, 0.449, 0.385)
B (0.377, 0.730, 0.091)
B (0.387, 0.232, 0.085)
B (0.391, 0.305, 0.479)
B (0.391, 0.638, 0.477)
B (0.435, 0.066, 0.294)
B (0.435, 0.604, 0.620)
B (0.438, 0.401, 0.623)
B (0.440, 0.864, 0.297)
B (0.483, 0.162, 0.437)
B (0.484, 0.831, 0.441)
B (0.485, 0.234, 0.830)
B (0.508, 0.742, 0.826)
B (0.509, 0.020, 0.532)
B (0.532, 0.518, 0.509)
B (0.538, 0.928, 0.910)
B (0.542, 0.594, 0.910)
B (0.569, 0.141, 0.712)
B (0.578, 0.352, 0.717)
B (0.582, 0.892, 0.051)
B (0.588, 0.689, 0.052)
B (0.607, 0.508, 0.265)
B (0.624, 0.111, 0.858)
B (0.627, 0.448, 0.860)
B (0.643, 0.024, 0.257)
B (0.657, 0.298, 0.946)
B (0.672, 0.209, 0.341)
B (0.673, 0.875, 0.344)
B (0.696, 0.816, 0.939)
B (0.714, 0.636, 0.151)
B (0.716, 0.174, 0.482)
B (0.720, 0.433, 0.152)
B (0.721, 0.972, 0.489)
B (0.760, 0.730, 0.294)
B (0.764, 0.396, 0.293)
B (0.777, 0.809, 0.694)
B (0.784, 0.308, 0.681)
B (0.797, 0.583, 0.377)
B (0.813, 0.159, 0.765)
B (0.815, 0.089, 0.372)
B (0.818, 0.496, 0.766)
B (0.861, 0.459, 0.907)
B (0.864, 0.255, 0.909)
B (0.870, 0.927, 0.580)
B (0.875, 0.724, 0.583)
B (0.916, 0.022, 0.723)
B (0.916, 0.093, 0.118)
B (0.920, 0.689, 0.725)
B (0.925, 0.594, 0.112)
B (0.943, 0.878, 0.816)
B (0.953, 0.781, 0.197)
B (0.957, 0.445, 0.197)
B (0.958, 0.374, 0.796)
O (0.027, 0.156, 0.352)
O (0.129, 0.880, 0.423)
O (0.172, 0.444, 0.779)
O (0.276, 0.170, 0.851)
O (0.313, 0.728, 0.211)
O (0.564, 0.741, 0.706)
O (0.597, 0.298, 0.065)
O (0.705, 0.026, 0.138)
O (0.745, 0.588, 0.497)
O (0.848, 0.312, 0.563)
O (0.989, 0.595, 0.993)

Output
E_tot (eV/atom): -7.032
Energy of formation from the pure elements (meV/atom): -633

---

This record from Materials Project describes crystalline NpAl3Pd2 at its relaxed geometry. The functional is PBE.

Cell lengths 5.474, 5.474, 4.187 Å; angles 90.00, 90.00, 120.00 degrees
Fractional coordinates of all 6 atoms:
Np (0.000, 0.000, 0.000)
Al (0.000, 0.500, 0.500)
Al (0.500, 0.000, 0.500)
Al (0.500, 0.500, 0.500)
Pd (0.333, 0.667, 0.000)
Pd (0.667, 0.333, 0.000)

Output
E_tot (eV/atom): -6.318
Energy of formation from the pure elements (meV/atom): -561

---

What is the formula in the second record?
B84O11